Record 1
Computed, not measured: a geometry-optimized SrCaLaBiO6 structure at the PBE-GGA level of DFT.

Computed properties:
Corrected total energy (MP2020 scheme) = -141.25 eV per cell
Total energy = -6.650 eV per atom
Formation energy from the elements = -2841 meV per atom
Space-group type = Pc
Energy above the most stable polymorph in this dataset = 0.0 meV per atom

Unit cell a=5.907 b=6.129 c=10.357 alpha=90.00 beta=124.69 gamma=90.00
Element x y z (fractional)
Sr 0.000 0.200 0.000
Sr 0.000 0.800 0.500
Ca 0.735 0.244 0.249
Ca 0.735 0.756 0.749
La 0.469 0.311 0.500
La 0.469 0.689 0.000
Bi 0.235 0.248 0.748
Bi 0.235 0.752 0.248
O 0.004 0.446 0.804
O 0.004 0.554 0.304
O 0.130 0.049 0.311
O 0.130 0.951 0.811
O 0.366 0.468 0.185
O 0.366 0.532 0.685
O 0.474 0.071 0.687
O 0.474 0.929 0.187
O 0.577 0.304 0.987
O 0.577 0.696 0.487
O 0.873 0.207 0.512
O 0.873 0.793 0.012

---

Record 2
Computed, not measured: a geometry-optimized LiB structure at the PBE-GGA level of DFT.

Computed properties:
Total energy = -4.080 eV per atom
Formation energy from the elements = 214 meV per atom
Space-group type = Fd-3m
Energy above the most stable polymorph in this dataset = 379.5 meV per atom

Unit cell a=3.412 b=3.412 c=3.412 alpha=60.00 beta=60.00 gamma=60.00
Element x y z (fractional)
Li 0.125 0.125 0.125
Li 0.875 0.875 0.875
B 0.375 0.375 0.375
B 0.625 0.625 0.625

---

Record 3
Computed, not measured: a geometry-optimized KTlS2 structure at the PBE-GGA level of DFT.

Computed properties:
Corrected total energy (MP2020 scheme) = -121.89 eV per cell
Total energy = -3.558 eV per atom
Formation energy from the elements = -873 meV per atom
Space-group type = C2/c

Unit cell a=8.101 b=8.101 c=15.435 alpha=97.57 beta=97.57 gamma=90.02
Element x y z (fractional)
K 0.154 0.776 0.613
K 0.222 0.345 0.883
K 0.224 0.846 0.887
K 0.345 0.222 0.383
K 0.655 0.778 0.617
K 0.776 0.154 0.113
K 0.778 0.655 0.117
K 0.846 0.224 0.387
Tl 0.086 0.711 0.344
Tl 0.288 0.413 0.156
Tl 0.289 0.914 0.156
Tl 0.413 0.288 0.656
Tl 0.587 0.712 0.344
Tl 0.711 0.086 0.844
Tl 0.712 0.587 0.844
Tl 0.914 0.289 0.656
S 0.048 0.425 0.249
S 0.048 0.952 0.250
S 0.138 0.265 0.552
S 0.264 0.638 0.053
S 0.265 0.138 0.052
S 0.362 0.736 0.447
S 0.424 0.576 0.750
S 0.425 0.048 0.749
S 0.575 0.952 0.251
S 0.576 0.424 0.250
S 0.638 0.264 0.553
S 0.735 0.862 0.948
S 0.736 0.362 0.947
S 0.862 0.735 0.448
S 0.952 0.048 0.750
S 0.952 0.575 0.751

---

Record 4
Computed, not measured: a geometry-optimized Li5Ta12O32 structure at the PBE-GGA level of DFT.

Computed properties:
Corrected total energy (MP2020 scheme) = -933.31 eV per cell
Total energy = -9.075 eV per atom
Formation energy from the elements = -3193 meV per atom
Space-group type = Pmmn

Unit cell a=7.783 b=16.973 c=8.983 alpha=90.00 beta=90.00 gamma=90.00
Element x y z (fractional)
Li 0.250 0.005 0.032
Li 0.250 0.250 0.818
Li 0.250 0.495 0.032
Li 0.250 0.590 0.421
Li 0.250 0.910 0.421
Li 0.750 0.090 0.579
Li 0.750 0.410 0.579
Li 0.750 0.505 0.968
Li 0.750 0.750 0.182
Li 0.750 0.995 0.968
Ta 0.001 0.560 0.690
Ta 0.001 0.940 0.690
Ta 0.002 0.250 0.185
Ta 0.002 0.750 0.449
Ta 0.004 0.630 0.107
Ta 0.004 0.870 0.107
Ta 0.496 0.630 0.107
Ta 0.496 0.870 0.107
Ta 0.498 0.250 0.185
Ta 0.498 0.750 0.449
Ta 0.499 0.560 0.690
Ta 0.499 0.940 0.690
Ta 0.501 0.060 0.310
Ta 0.501 0.440 0.310
Ta 0.502 0.250 0.551
Ta 0.502 0.750 0.815
Ta 0.504 0.130 0.893
Ta 0.504 0.370 0.893
Ta 0.996 0.130 0.893
Ta 0.996 0.370 0.893
Ta 0.998 0.250 0.551
Ta 0.998 0.750 0.815
Ta 0.999 0.060 0.310
Ta 0.999 0.440 0.310
O 0.000 0.000 0.500
O 0.000 0.500 0.500
O 0.007 0.132 0.117
O 0.007 0.368 0.117
O 0.017 0.750 0.052
O 0.027 0.174 0.375
O 0.027 0.326 0.375
O 0.039 0.019 0.847
O 0.039 0.481 0.847
O 0.040 0.661 0.314
O 0.040 0.839 0.314
O 0.250 0.040 0.293
O 0.250 0.144 0.885
O 0.250 0.250 0.171
O 0.250 0.250 0.598
O 0.250 0.356 0.885
O 0.250 0.460 0.293
O 0.250 0.573 0.657
O 0.250 0.607 0.086
O 0.250 0.750 0.484
O 0.250 0.750 0.804
O 0.250 0.893 0.086
O 0.250 0.927 0.657
O 0.460 0.661 0.314
O 0.460 0.839 0.314
O 0.461 0.019 0.847
O 0.461 0.481 0.847
O 0.473 0.174 0.375
O 0.473 0.326 0.375
O 0.483 0.750 0.052
O 0.493 0.132 0.117
O 0.493 0.368 0.117
O 0.500 0.000 0.500
O 0.500 0.500 0.500
O 0.507 0.632 0.883
O 0.507 0.868 0.883
O 0.517 0.250 0.948
O 0.527 0.674 0.625
O 0.527 0.826 0.625
O 0.539 0.519 0.153
O 0.539 0.981 0.153
O 0.540 0.161 0.686
O 0.540 0.339 0.686
O 0.750 0.073 0.343
O 0.750 0.107 0.914
O 0.750 0.250 0.196
O 0.750 0.250 0.516
O 0.750 0.393 0.914
O 0.750 0.427 0.343
O 0.750 0.540 0.707
O 0.750 0.644 0.115
O 0.750 0.750 0.402
O 0.750 0.750 0.829
O 0.750 0.856 0.115
O 0.750 0.960 0.707
O 0.960 0.161 0.686
O 0.960 0.339 0.686
O 0.961 0.519 0.153
O 0.961 0.981 0.153
O 0.973 0.674 0.625
O 0.973 0.826 0.625
O 0.983 0.250 0.948
O 0.993 0.632 0.883
O 0.993 0.868 0.883

---

Record 5
Computed, not measured: a geometry-optimized TaMoN3 structure at the PBE-GGA level of DFT.

Computed properties:
Corrected total energy (MP2020 scheme) = -204.38 eV per cell
Total energy = -10.003 eV per atom
Formation energy from the elements = -677 meV per atom
Space-group type = P-1

Unit cell a=5.463 b=7.239 c=7.575 alpha=111.48 beta=99.16 gamma=101.89
Element x y z (fractional)
Ta 0.107 0.499 0.192
Ta 0.263 0.949 0.084
Ta 0.737 0.051 0.916
Ta 0.893 0.501 0.808
Mo 0.103 0.864 0.535
Mo 0.454 0.608 0.666
Mo 0.546 0.392 0.334
Mo 0.897 0.136 0.465
N 0.135 0.984 0.344
N 0.136 0.401 0.633
N 0.182 0.226 0.124
N 0.232 0.650 0.041
N 0.357 0.915 0.801
N 0.404 0.666 0.441
N 0.596 0.334 0.559
N 0.643 0.085 0.199
N 0.768 0.350 0.959
N 0.818 0.774 0.876
N 0.864 0.599 0.367
N 0.865 0.016 0.656

---

Record 6
Computed, not measured: a geometry-optimized Y2MgCuO4 structure at the PBE-GGA level of DFT.

Computed properties:
Corrected total energy (MP2020 scheme) = -57.72 eV per cell
Total energy = -6.872 eV per atom
Formation energy from the elements = -2412 meV per atom
Space-group type = Cm
Energy above the most stable polymorph in this dataset = 0.0 meV per atom

Unit cell a=4.009 b=4.009 c=7.834 alpha=104.18 beta=104.18 gamma=90.00
Element x y z (fractional)
Y 0.000 0.000 0.000
Y 0.745 0.745 0.527
Mg 0.554 0.554 0.118
Cu 0.369 0.369 0.761
O 0.073 0.573 0.158
O 0.306 0.812 0.653
O 0.573 0.073 0.158
O 0.812 0.306 0.653

---

Record 7
Computed, not measured: a geometry-optimized Mg6ZnBiO8 structure at the PBE-GGA level of DFT.

Computed properties:
Corrected total energy (MP2020 scheme) = -92.53 eV per cell
Total energy = -5.440 eV per atom
Formation energy from the elements = -2387 meV per atom
Space-group type = P4/mmm
Energy above the most stable polymorph in this dataset = 0.0 meV per atom

Unit cell a=4.517 b=4.517 c=8.956 alpha=90.00 beta=90.00 gamma=90.00
Element x y z (fractional)
Mg 0.000 0.000 0.000
Mg 0.000 0.500 0.233
Mg 0.000 0.500 0.767
Mg 0.500 0.000 0.233
Mg 0.500 0.000 0.767
Mg 0.500 0.500 0.000
Zn 0.000 0.000 0.500
Bi 0.500 0.500 0.500
O 0.000 0.000 0.231
O 0.000 0.000 0.769
O 0.000 0.500 0.000
O 0.000 0.500 0.500
O 0.500 0.000 0.000
O 0.500 0.000 0.500
O 0.500 0.500 0.230
O 0.500 0.500 0.770

---

Record 8
Computed, not measured: a geometry-optimized LiMg6SiO8 structure at the PBE-GGA level of DFT.

Computed properties:
Corrected total energy (MP2020 scheme) = -100.78 eV per cell
Total energy = -5.955 eV per atom
Formation energy from the elements = -2766 meV per atom
Space-group type = P4/mmm

Unit cell a=4.258 b=4.258 c=8.475 alpha=90.00 beta=90.00 gamma=90.00
Element x y z (fractional)
Li 0.000 0.000 0.000
Mg 0.000 0.500 0.239
Mg 0.000 0.500 0.761
Mg 0.500 0.000 0.239
Mg 0.500 0.000 0.761
Mg 0.500 0.500 0.000
Mg 0.500 0.500 0.500
Si 0.000 0.000 0.500
O 0.000 0.000 0.277
O 0.000 0.000 0.723
O 0.000 0.500 0.000
O 0.000 0.500 0.500
O 0.500 0.000 0.000
O 0.500 0.000 0.500
O 0.500 0.500 0.253
O 0.500 0.500 0.747

---

> The lowest formation energy from the elements belongs to which entry?

Li5Ta12O32

---

What did the fourth record say?
Computed, not measured: a geometry-optimized Li5Ta12O32 structure at the PBE-GGA level of DFT.

Computed properties:
Corrected total energy (MP2020 scheme) = -933.31 eV per cell
Total energy = -9.075 eV per atom
Formation energy from the elements = -3193 meV per atom
Space-group type = Pmmn

Unit cell a=7.783 b=16.973 c=8.983 alpha=90.00 beta=90.00 gamma=90.00
Element x y z (fractional)
Li 0.250 0.005 0.032
Li 0.250 0.250 0.818
Li 0.250 0.495 0.032
Li 0.250 0.590 0.421
Li 0.250 0.910 0.421
Li 0.750 0.090 0.579
Li 0.750 0.410 0.579
Li 0.750 0.505 0.968
Li 0.750 0.750 0.182
Li 0.750 0.995 0.968
Ta 0.001 0.560 0.690
Ta 0.001 0.940 0.690
Ta 0.002 0.250 0.185
Ta 0.002 0.750 0.449
Ta 0.004 0.630 0.107
Ta 0.004 0.870 0.107
Ta 0.496 0.630 0.107
Ta 0.496 0.870 0.107
Ta 0.498 0.250 0.185
Ta 0.498 0.750 0.449
Ta 0.499 0.560 0.690
Ta 0.499 0.940 0.690
Ta 0.501 0.060 0.310
Ta 0.501 0.440 0.310
Ta 0.502 0.250 0.551
Ta 0.502 0.750 0.815
Ta 0.504 0.130 0.893
Ta 0.504 0.370 0.893
Ta 0.996 0.130 0.893
Ta 0.996 0.370 0.893
Ta 0.998 0.250 0.551
Ta 0.998 0.750 0.815
Ta 0.999 0.060 0.310
Ta 0.999 0.440 0.310
O 0.000 0.000 0.500
O 0.000 0.500 0.500
O 0.007 0.132 0.117
O 0.007 0.368 0.117
O 0.017 0.750 0.052
O 0.027 0.174 0.375
O 0.027 0.326 0.375
O 0.039 0.019 0.847
O 0.039 0.481 0.847
O 0.040 0.661 0.314
O 0.040 0.839 0.314
O 0.250 0.040 0.293
O 0.250 0.144 0.885
O 0.250 0.250 0.171
O 0.250 0.250 0.598
O 0.250 0.356 0.885
O 0.250 0.460 0.293
O 0.250 0.573 0.657
O 0.250 0.607 0.086
O 0.250 0.750 0.484
O 0.250 0.750 0.804
O 0.250 0.893 0.086
O 0.250 0.927 0.657
O 0.460 0.661 0.314
O 0.460 0.839 0.314
O 0.461 0.019 0.847
O 0.461 0.481 0.847
O 0.473 0.174 0.375
O 0.473 0.326 0.375
O 0.483 0.750 0.052
O 0.493 0.132 0.117
O 0.493 0.368 0.117
O 0.500 0.000 0.500
O 0.500 0.500 0.500
O 0.507 0.632 0.883
O 0.507 0.868 0.883
O 0.517 0.250 0.948
O 0.527 0.674 0.625
O 0.527 0.826 0.625
O 0.539 0.519 0.153
O 0.539 0.981 0.153
O 0.540 0.161 0.686
O 0.540 0.339 0.686
O 0.750 0.073 0.343
O 0.750 0.107 0.914
O 0.750 0.250 0.196
O 0.750 0.250 0.516
O 0.750 0.393 0.914
O 0.750 0.427 0.343
O 0.750 0.540 0.707
O 0.750 0.644 0.115
O 0.750 0.750 0.402
O 0.750 0.750 0.829
O 0.750 0.856 0.115
O 0.750 0.960 0.707
O 0.960 0.161 0.686
O 0.960 0.339 0.686
O 0.961 0.519 0.153
O 0.961 0.981 0.153
O 0.973 0.674 0.625
O 0.973 0.826 0.625
O 0.983 0.250 0.948
O 0.993 0.632 0.883
O 0.993 0.868 0.883

---

> What is the total energy in the third record?

-3.558 eV per atom